[1]
First-principles (PBE+U) data for a geometry-optimized CaMn3O7 structure, as listed in Materials Project.

Values from the calculation:
- theoretical density (Mg/m³) = 3.50
- symmetry = Pnma
- electronic total energy (eV per atom) = -6.79
- magnetization (μB/cell) = 36.00

Cell lengths 5.4374, 10.4350, 10.5888 Å; angles 90.00, 90.00, 90.00 degrees
Fractional coordinates of all 44 atoms:
O 0.2159 0.9492 0.4276
O 0.5390 0.2813 0.6189
O 0.4610 0.7187 0.1189
O 0.3229 0.0644 0.7500
O 0.5620 0.2215 0.1198
O 0.9380 0.7215 0.3802
O 0.0620 0.2785 0.8802
O 0.7841 0.0508 0.5724
O 0.4380 0.7785 0.8802
O 0.4610 0.7187 0.3811
O 0.2159 0.9492 0.0724
O 0.1771 0.5644 0.7500
O 0.4380 0.7785 0.6198
O 0.9610 0.7813 0.6189
O 0.7159 0.5508 0.9276
O 0.9380 0.7215 0.1198
O 0.5620 0.2215 0.3802
O 0.0390 0.2187 0.1189
O 0.0620 0.2785 0.6198
O 0.7159 0.5508 0.5724
O 0.2841 0.4492 0.0724
O 0.0390 0.2187 0.3811
O 0.6771 0.9356 0.2500
O 0.8229 0.4356 0.2500
O 0.2841 0.4492 0.4276
O 0.5390 0.2813 0.8811
O 0.9610 0.7813 0.8811
O 0.7841 0.0508 0.9276
Mn 0.1976 0.7943 0.0247
Mn 0.3064 0.2282 0.7500
Mn 0.6936 0.7718 0.2500
Mn 0.3024 0.2943 0.4753
Mn 0.8064 0.2718 0.2500
Mn 0.1976 0.7943 0.4753
Mn 0.1936 0.7282 0.7500
Mn 0.3024 0.2943 0.0247
Mn 0.6976 0.7057 0.9753
Mn 0.8024 0.2057 0.5247
Mn 0.8024 0.2057 0.9753
Mn 0.6976 0.7057 0.5247
Ca 0.8186 0.4438 0.7500
Ca 0.6814 0.9438 0.7500
Ca 0.1814 0.5562 0.2500
Ca 0.3186 0.0562 0.2500



[2]
First-principles (PBE+U) data for a geometry-optimized CaMn4O8 structure, as listed in Materials Project.

Values from the calculation:
- theoretical density (Mg/m³) = 4.22
- distance to the lowest polymorph of the same formula (meV per atom) = 32
- symmetry = P2_1/c
- electronic total energy (eV per atom) = -7.21
- magnetization (μB/cell) = 56.00

Cell lengths 6.1434, 9.6139, 14.0603 Å; angles 47.31, 90.00, 90.00 degrees
Fractional coordinates of all 52 atoms:
O 0.1279 0.2640 0.7908
O 0.8759 0.6048 0.6001
O 0.1241 0.3952 0.3999
O 0.8600 0.0671 0.5338
O 0.3759 0.3952 0.8999
O 0.1446 0.6443 0.4180
O 0.6241 0.6048 0.1001
O 0.8554 0.3557 0.5820
O 0.3958 0.0622 0.5453
O 0.3896 0.6143 0.5985
O 0.3554 0.6443 0.9180
O 0.3582 0.7247 0.2155
O 0.6446 0.3557 0.0820
O 0.6042 0.9378 0.4547
O 0.8721 0.7360 0.2092
O 0.3721 0.2640 0.2908
O 0.1418 0.7247 0.7155
O 0.3939 0.3457 0.5929
O 0.8958 0.9378 0.9547
O 0.3600 0.9329 0.9662
O 0.6061 0.6543 0.4071
O 0.6104 0.3857 0.4015
O 0.1400 0.9329 0.4662
O 0.1104 0.6143 0.0985
O 0.8582 0.2753 0.2845
O 0.1061 0.3457 0.0929
O 0.8896 0.3857 0.9015
O 0.6400 0.0671 0.0338
O 0.1042 0.0622 0.0453
O 0.8939 0.6543 0.9071
O 0.6279 0.7360 0.7092
O 0.6418 0.2753 0.7845
Mn 0.6310 0.4800 0.6021
Mn 0.1310 0.5200 0.8979
Mn 0.8700 0.5338 0.3921
Mn 0.3833 0.8159 0.5985
Mn 0.1167 0.8159 0.0985
Mn 0.6167 0.1841 0.4015
Mn 0.3773 0.1849 0.9118
Mn 0.6227 0.8151 0.0882
Mn 0.8833 0.1841 0.9015
Mn 0.8773 0.8151 0.5882
Mn 0.1300 0.4662 0.6079
Mn 0.3690 0.5200 0.3979
Mn 0.6300 0.5338 0.8921
Mn 0.3700 0.4662 0.1079
Mn 0.8690 0.4800 0.1021
Mn 0.1227 0.1849 0.4118
Ca 0.1333 0.8862 0.8579
Ca 0.3667 0.8862 0.3579
Ca 0.8667 0.1138 0.1421
Ca 0.6333 0.1138 0.6421